# Li2FeO2F

Li2FeO2F after structural relaxation (PBE with a Hubbard U, the Materials Project database).

**Energy with MP2020 corrections**: -6.365 eV/atom
**Mass density**: 3.63 g cm⁻³
**ΔH_f (0 K)**: -2.349 eV/atom
**Calculated volume**: 9.209 A^3/atom
**Polymorph energy (0 for the lowest one)**: 0.0 meV per atom

Cell lengths 2.967, 2.967, 14.491 Å; angles 90.00, 90.00, 120.00 degrees
Sites, in units of the cell vectors:
Li 0.000 0.000 0.000
Li 0.000 0.000 0.500
Li 0.333 0.667 0.339
Li 0.667 0.333 0.661
Fe 0.333 0.667 0.831
Fe 0.667 0.333 0.169
O 0.000 0.000 0.247
O 0.000 0.000 0.753
O 0.333 0.667 0.091
O 0.667 0.333 0.909
F 0.333 0.667 0.581
F 0.667 0.333 0.419

# Li3Fe8O3F13

Li3Fe8O3F13 after structural relaxation (PBE with a Hubbard U, the Materials Project database).

**Energy with MP2020 corrections**: -6.594 eV/atom
**Mass density**: 3.78 g cm⁻³
**ΔH_f (0 K)**: -2.401 eV/atom
**Calculated volume**: 12.402 A^3/atom

Cell lengths 6.312, 6.312, 10.451 Å; angles 107.98, 107.98, 59.37 degrees
Sites, in units of the cell vectors:
Li 0.000 0.000 0.000
Li 0.621 0.621 0.858
Li 0.823 0.823 0.441
Fe 0.053 0.565 0.677
Fe 0.076 0.556 0.180
Fe 0.078 0.078 0.696
Fe 0.333 0.815 0.438
Fe 0.556 0.076 0.180
Fe 0.558 0.558 0.164
Fe 0.565 0.053 0.677
Fe 0.815 0.333 0.438
O 0.174 0.174 0.549
O 0.458 0.458 0.306
O 0.710 0.710 0.552
F 0.160 0.728 0.559
F 0.184 0.685 0.065
F 0.193 0.193 0.067
F 0.430 0.430 0.779
F 0.446 0.931 0.800
F 0.480 0.915 0.295
F 0.685 0.184 0.065
F 0.696 0.696 0.062
F 0.728 0.160 0.559
F 0.915 0.480 0.295
F 0.931 0.446 0.800
F 0.931 0.931 0.308
F 0.940 0.940 0.803

# Li3Fe4O3F9

Li3Fe4O3F9 after structural relaxation (PBE with a Hubbard U, the Materials Project database).

**Energy with MP2020 corrections**: -6.246 eV/atom
**Mass density**: 3.73 g cm⁻³
**ΔH_f (0 K)**: -2.474 eV/atom
**Calculated volume**: 10.858 A^3/atom
**Polymorph energy (0 for the lowest one)**: 24.7 meV per atom

Cell lengths 5.954, 6.009, 6.038 Å; angles 99.88, 99.28, 98.92 degrees
Sites, in units of the cell vectors:
Li 0.000 0.000 0.000
Li 0.157 0.259 0.540
Li 0.427 0.929 0.730
Fe 0.304 0.602 0.125
Fe 0.629 0.235 0.282
Fe 0.733 0.482 0.822
Fe 0.901 0.727 0.450
O 0.000 0.654 0.025
O 0.623 0.551 0.233
O 0.881 0.423 0.549
F 0.099 0.991 0.705
F 0.228 0.282 0.180
F 0.239 0.706 0.440
F 0.384 0.482 0.818
F 0.430 0.926 0.088
F 0.480 0.166 0.534
F 0.693 0.774 0.696
F 0.728 0.202 0.960
F 0.869 0.008 0.310

# LiFe2O2F3

LiFe2O2F3 after structural relaxation (PBE with a Hubbard U, the Materials Project database).

**Energy with MP2020 corrections**: -6.611 eV/atom
**Mass density**: 3.79 g cm⁻³
**ΔH_f (0 K)**: -2.300 eV/atom
**Calculated volume**: 11.362 A^3/atom
**Polymorph energy (0 for the lowest one)**: 26.0 meV per atom

Cell lengths 5.980, 5.980, 7.100 Å; angles 109.44, 109.44, 50.36 degrees
Sites, in units of the cell vectors:
Li 0.000 0.000 0.000
Li 0.000 0.000 0.500
Fe 0.287 0.330 0.630
Fe 0.330 0.287 0.130
Fe 0.670 0.713 0.870
Fe 0.713 0.670 0.370
O 0.127 0.476 0.365
O 0.476 0.127 0.865
O 0.524 0.873 0.135
O 0.873 0.524 0.635
F 0.053 0.690 0.047
F 0.310 0.947 0.453
F 0.330 0.670 0.750
F 0.670 0.330 0.250
F 0.690 0.053 0.547
F 0.947 0.310 0.953

# Li4FeO3F

Li4FeO3F after structural relaxation (PBE with a Hubbard U, the Materials Project database).

**Energy with MP2020 corrections**: -5.842 eV/atom
**Mass density**: 2.66 g cm⁻³
**ΔH_f (0 K)**: -2.191 eV/atom
**Calculated volume**: 10.445 A^3/atom
**Polymorph energy (0 for the lowest one)**: 0.0 meV per atom

Cell lengths 6.413, 7.292, 8.040 Å; angles 90.00, 90.00, 90.00 degrees
Sites, in units of the cell vectors:
O 0.750 0.531 0.207
Li 0.237 0.233 0.652
Fe 0.776 0.646 0.000
O 0.510 0.201 0.000
O 0.750 0.031 0.707
Li 0.998 0.493 0.664
Li 0.737 0.767 0.348
O 0.510 0.701 0.500
O 0.010 0.299 0.500
Li 0.998 0.993 0.164
O 0.750 0.031 0.293
O 0.250 0.469 0.207
Li 0.498 0.507 0.664
Li 0.498 0.007 0.836
Li 0.237 0.733 0.848
Fe 0.276 0.354 0.000
Li 0.998 0.993 0.836
O 0.250 0.969 0.293
F 0.494 0.295 0.500
Li 0.498 0.007 0.164
F 0.994 0.205 0.000
Li 0.237 0.733 0.152
Li 0.737 0.767 0.652
Li 0.737 0.267 0.152
Li 0.237 0.233 0.348
Li 0.998 0.493 0.336
O 0.010 0.799 0.000
O 0.750 0.531 0.793
Fe 0.777 0.146 0.500
Fe 0.277 0.854 0.500
Li 0.498 0.507 0.336
F 0.994 0.705 0.500
Li 0.737 0.267 0.848
O 0.250 0.969 0.707
F 0.494 0.795 0.000
O 0.250 0.469 0.793

# Li2Fe5O5F7

Li2Fe5O5F7 after structural relaxation (PBE with a Hubbard U, the Materials Project database).

**Energy with MP2020 corrections**: -6.691 eV/atom
**Mass density**: 4.04 g cm⁻³
**ΔH_f (0 K)**: -2.254 eV/atom
**Calculated volume**: 10.954 A^3/atom

Cell lengths 5.910, 5.987, 6.176 Å; angles 99.49, 99.90, 99.47 degrees
Sites, in units of the cell vectors:
Li 0.000 0.000 0.000
Li 0.449 0.923 0.711
Fe 0.120 0.327 0.609
Fe 0.274 0.662 0.181
Fe 0.546 0.187 0.275
Fe 0.760 0.477 0.941
Fe 0.782 0.706 0.429
O 0.078 0.437 0.908
O 0.532 0.488 0.164
O 0.543 0.904 0.388
O 0.813 0.388 0.488
O 0.958 0.727 0.193
F 0.015 0.996 0.627
F 0.211 0.201 0.310
F 0.259 0.621 0.533
F 0.316 0.917 0.992
F 0.456 0.278 0.724
F 0.715 0.731 0.775
F 0.744 0.154 0.036

# Li4FeO2F2

Li4FeO2F2 after structural relaxation (PBE with a Hubbard U, the Materials Project database).

**Energy with MP2020 corrections**: -5.672 eV/atom
**Mass density**: 2.68 g cm⁻³
**ΔH_f (0 K)**: -2.357 eV/atom
**Calculated volume**: 10.587 A^3/atom

Cell lengths 3.661, 10.552, 10.620 Å; angles 70.91, 90.01, 99.96 degrees
Sites, in units of the cell vectors:
Li 0.564 0.123 0.702
Li 0.190 0.374 0.047
Fe 0.503 0.000 0.499
Li 0.440 0.874 0.297
Li 0.873 0.739 0.204
Li 0.814 0.623 0.952
O 0.844 0.683 0.753
O 0.344 0.683 0.253
O 0.662 0.317 0.745
F 0.212 0.420 0.465
F 0.461 0.920 0.715
O 0.094 0.183 0.003
Fe 0.003 0.000 0.999
O 0.412 0.817 0.495
Li 0.373 0.739 0.704
Fe 0.253 0.500 0.249
Li 0.633 0.260 0.294
Li 0.383 0.760 0.044
O 0.162 0.317 0.245
Li 0.133 0.260 0.794
O 0.594 0.183 0.503
O 0.911 0.817 0.995
Li 0.123 0.239 0.454
Fe 0.753 0.500 0.749
Li 0.690 0.374 0.547
Li 0.940 0.874 0.797
F 0.542 0.079 0.284
F 0.961 0.920 0.215
Li 0.883 0.760 0.544
F 0.712 0.420 0.965
F 0.042 0.079 0.784
Li 0.623 0.239 0.954
Li 0.064 0.123 0.202
Li 0.314 0.623 0.452
F 0.792 0.579 0.534
F 0.292 0.579 0.034

# Li4Fe7O2F14

Li4Fe7O2F14 after structural relaxation (PBE with a Hubbard U, the Materials Project database).

**Energy with MP2020 corrections**: -6.366 eV/atom
**Mass density**: 3.52 g cm⁻³
**ΔH_f (0 K)**: -2.528 eV/atom
**Calculated volume**: 12.519 A^3/atom
**Polymorph energy (0 for the lowest one)**: 32.8 meV per atom

Cell lengths 6.147, 6.156, 10.764 Å; angles 105.69, 91.43, 118.72 degrees
Sites, in units of the cell vectors:
Li 0.000 0.000 0.000
Li 0.120 0.220 0.388
Li 0.504 0.014 0.501
Li 0.643 0.252 0.891
Fe 0.045 0.627 0.195
Fe 0.068 0.118 0.693
Fe 0.310 0.630 0.934
Fe 0.564 0.625 0.691
Fe 0.574 0.139 0.186
Fe 0.587 0.626 0.195
Fe 0.833 0.633 0.446
O 0.687 0.374 0.081
O 0.920 0.832 0.319
F 0.192 0.865 0.064
F 0.192 0.902 0.572
F 0.212 0.419 0.072
F 0.216 0.375 0.580
F 0.436 0.380 0.818
F 0.441 0.367 0.319
F 0.441 0.877 0.297
F 0.451 0.864 0.824
F 0.675 0.864 0.065
F 0.681 0.395 0.556
F 0.696 0.879 0.573
F 0.910 0.869 0.811
F 0.939 0.366 0.322
F 0.960 0.349 0.819

# LiFe7O3F9

LiFe7O3F9 after structural relaxation (PBE with a Hubbard U, the Materials Project database).

**Energy with MP2020 corrections**: -6.917 eV/atom
**Mass density**: 4.22 g cm⁻³
**ΔH_f (0 K)**: -2.253 eV/atom
**Calculated volume**: 12.130 A^3/atom
**Polymorph energy (0 for the lowest one)**: 0.0 meV per atom

Cell lengths 5.450, 5.723, 9.195 Å; angles 74.26, 88.96, 62.38 degrees
Sites, in units of the cell vectors:
Li 0.000 0.000 0.000
Fe 0.028 0.915 0.356
Fe 0.294 0.496 0.760
Fe 0.325 0.367 0.123
Fe 0.474 0.009 0.496
Fe 0.573 0.859 0.852
Fe 0.764 0.466 0.267
Fe 0.831 0.387 0.607
O 0.045 0.201 0.459
O 0.536 0.680 0.699
O 0.603 0.176 0.306
F 0.000 0.686 0.209
F 0.029 0.674 0.917
F 0.059 0.188 0.136
F 0.132 0.186 0.815
F 0.468 0.703 0.389
F 0.481 0.673 0.059
F 0.571 0.182 0.658
F 0.573 0.165 0.959
F 0.995 0.679 0.570

# Li3FeOF3

Li3FeOF3 after structural relaxation (PBE with a Hubbard U, the Materials Project database).

**Energy with MP2020 corrections**: -5.760 eV/atom
**Mass density**: 3.31 g cm⁻³
**ΔH_f (0 K)**: -2.649 eV/atom
**Calculated volume**: 9.393 A^3/atom
**Polymorph energy (0 for the lowest one)**: 0.0 meV per atom

Cell lengths 5.161, 5.161, 10.365 Å; angles 99.72, 99.72, 33.58 degrees
Sites, in units of the cell vectors:
Li 0.000 0.000 0.000
Li 0.000 0.000 0.500
Li 0.247 0.247 0.385
Li 0.499 0.499 0.751
Li 0.501 0.501 0.249
Li 0.753 0.753 0.615
Fe 0.239 0.239 0.882
Fe 0.761 0.761 0.118
O 0.377 0.377 0.068
O 0.623 0.623 0.932
F 0.121 0.121 0.676
F 0.127 0.127 0.205
F 0.371 0.371 0.561
F 0.629 0.629 0.439
F 0.873 0.873 0.795
F 0.879 0.879 0.324

# Li2Fe4OF8

Li2Fe4OF8 after structural relaxation (PBE with a Hubbard U, the Materials Project database).

**Energy with MP2020 corrections**: -6.403 eV/atom
**Mass density**: 3.79 g cm⁻³
**ΔH_f (0 K)**: -2.538 eV/atom
**Calculated volume**: 11.830 A^3/atom
**Polymorph energy (0 for the lowest one)**: 0.0 meV per atom

Cell lengths 5.381, 5.381, 14.352 Å; angles 91.12, 91.12, 58.67 degrees
Sites, in units of the cell vectors:
Li 0.001 0.999 0.500
Li 0.010 0.978 0.793
Li 0.978 0.010 0.293
Li 0.999 0.001 0.000
Fe 0.308 0.346 0.836
Fe 0.329 0.347 0.639
Fe 0.346 0.308 0.336
Fe 0.347 0.329 0.139
Fe 0.659 0.691 0.180
Fe 0.664 0.672 0.968
Fe 0.672 0.664 0.468
Fe 0.691 0.659 0.680
O 0.046 0.618 0.735
O 0.618 0.046 0.235
F 0.013 0.328 0.239
F 0.020 0.663 0.409
F 0.295 0.702 0.906
F 0.301 0.988 0.407
F 0.316 0.657 0.238
F 0.328 0.013 0.739
F 0.352 0.974 0.065
F 0.379 0.673 0.571
F 0.654 0.991 0.568
F 0.657 0.316 0.738
F 0.663 0.020 0.909
F 0.673 0.379 0.071
F 0.702 0.295 0.406
F 0.974 0.352 0.565
F 0.988 0.301 0.907
F 0.991 0.654 0.068

# Li4Fe7O2F14

Li4Fe7O2F14 after structural relaxation (PBE with a Hubbard U, the Materials Project database).

**Energy with MP2020 corrections**: -6.385 eV/atom
**Mass density**: 3.48 g cm⁻³
**ΔH_f (0 K)**: -2.547 eV/atom
**Calculated volume**: 12.667 A^3/atom
**Polymorph energy (0 for the lowest one)**: 13.8 meV per atom

Cell lengths 6.188, 6.221, 10.776 Å; angles 91.03, 105.74, 119.44 degrees
Sites, in units of the cell vectors:
Li 0.121 0.077 0.180
Li 0.143 0.611 0.687
Li 0.857 0.389 0.313
Li 0.879 0.923 0.820
Fe 0.000 0.000 0.500
Fe 0.000 0.500 0.000
Fe 0.486 0.246 0.751
Fe 0.500 0.000 0.000
Fe 0.500 0.000 0.500
Fe 0.500 0.500 0.500
Fe 0.514 0.754 0.249
O 0.272 0.936 0.612
O 0.728 0.064 0.388
F 0.230 0.639 0.881
F 0.251 0.872 0.123
F 0.253 0.606 0.380
F 0.256 0.411 0.133
F 0.259 0.144 0.374
F 0.260 0.103 0.880
F 0.261 0.396 0.624
F 0.739 0.604 0.376
F 0.740 0.897 0.120
F 0.741 0.856 0.626
F 0.744 0.589 0.867
F 0.747 0.394 0.620
F 0.749 0.128 0.877
F 0.770 0.361 0.119